This record from the Materials Project describes a geometry-optimized NbV3Cu2P6O24 structure. The functional is GGA+U. Values from VASP.

The structure in Quantum ESPRESSO input format:
```
&SYSTEM
  ibrav = 0, nat = 36, ntyp = 5
/
ATOMIC_SPECIES
Nb 92.91 Nb.upf
V 50.94 V.upf
Cu 63.55 Cu.upf
P 30.97 P.upf
O 16.00 O.upf
ATOMIC_POSITIONS crystal
Nb 0.1407 0.1407 0.1407
V 0.6419 0.6419 0.6419
V 0.8571 0.8571 0.8571
V 0.3574 0.3574 0.3574
Cu 0.9971 0.9971 0.9971
Cu 0.5001 0.5001 0.5001
P 0.9587 0.5457 0.2517
P 0.5457 0.2517 0.9587
P 0.2517 0.9587 0.5457
P 0.7418 0.0386 0.4674
P 0.4674 0.7418 0.0386
P 0.0386 0.4674 0.7418
O 0.5040 0.3027 0.1235
O 0.3027 0.1235 0.5040
O 0.1235 0.5040 0.3027
O 0.9400 0.7318 0.0830
O 0.0000 0.3782 0.1978
O 0.7690 0.5592 0.4170
O 0.7318 0.0830 0.9400
O 0.5592 0.4170 0.7690
O 0.8014 0.0027 0.6245
O 0.4170 0.7690 0.5592
O 0.9112 0.0592 0.2746
O 0.6245 0.8014 0.0027
O 0.3782 0.1978 0.0000
O 0.0830 0.9400 0.7318
O 0.5804 0.2307 0.4420
O 0.1978 0.0000 0.3782
O 0.4420 0.5804 0.2307
O 0.2746 0.9112 0.0592
O 0.2307 0.4420 0.5804
O 0.0027 0.6245 0.8014
O 0.0592 0.2746 0.9112
O 0.8758 0.4991 0.6938
O 0.6938 0.8758 0.4991
O 0.4991 0.6938 0.8758
CELL_PARAMETERS angstrom
7.5435 -4.3483 0.0000
7.5435 4.3483 0.0000
5.0370 0.0000 7.1021
```

Results
Energy = -7.371 eV per atom
Calculated formation energy = -2504 meV/atom

This record from the Materials Project describes a geometry-optimized Sr4LaCrFe4O15 structure. The functional is GGA+U. Values from VASP.

The structure in Quantum ESPRESSO input format:
```
&SYSTEM
  ibrav = 0, nat = 25, ntyp = 5
/
ATOMIC_SPECIES
Sr 87.62 Sr.upf
La 138.91 La.upf
Cr 52.00 Cr.upf
Fe 55.84 Fe.upf
O 16.00 O.upf
ATOMIC_POSITIONS crystal
Sr 0.5996 0.5996 0.1012
Sr 0.0000 0.0000 0.5007
Sr 0.4002 0.4002 0.8991
Sr 0.1999 0.1999 0.6991
La 0.7990 0.7990 0.2994
Cr 0.1989 0.1989 0.1992
Fe 0.5995 0.5995 0.6005
Fe 0.0004 0.0004 0.9990
Fe 0.4004 0.4004 0.3996
Fe 0.7995 0.7995 0.8008
O 0.2980 0.2980 0.2985
O 0.5003 0.5003 0.4987
O 0.8981 0.8981 0.9055
O 0.7026 0.7026 0.6930
O 0.1017 0.1017 0.1049
O 0.0958 0.6028 0.5923
O 0.2997 0.8001 0.8015
O 0.7014 0.1921 0.2019
O 0.5026 0.9996 0.0068
O 0.9008 0.4070 0.3979
O 0.6028 0.0958 0.5923
O 0.8001 0.2997 0.8015
O 0.1921 0.7014 0.2019
O 0.9996 0.5026 0.0068
O 0.4070 0.9008 0.3979
CELL_PARAMETERS angstrom
-6.2377 -4.4616 -4.1568
-2.6597 -8.0695 -1.9754
-4.5092 -1.5602 4.8154
```

Results
Energy = -6.743 eV per atom
Calculated formation energy = -2419 meV/atom

This record from the Materials Project describes a geometry-optimized Li5CoNi9O20 structure. The functional is GGA+U. Values from VASP.

The structure in Quantum ESPRESSO input format:
```
&SYSTEM
  ibrav = 0, nat = 35, ntyp = 4
/
ATOMIC_SPECIES
Li 6.94 Li.upf
Co 58.93 Co.upf
Ni 58.69 Ni.upf
O 16.00 O.upf
ATOMIC_POSITIONS crystal
Li 0.0259 0.0009 0.7506
Li 0.7942 0.5974 0.3475
Li 0.8015 0.6111 0.8634
Li 0.9838 0.0014 0.2519
Li 0.2012 0.3875 0.6354
Co 0.6170 0.2016 0.7017
Ni 0.0003 0.0012 0.9999
Ni 0.1923 0.3980 0.9012
Ni 0.0046 0.0007 0.5001
Ni 0.7962 0.5994 0.1013
Ni 0.5694 0.2037 0.1977
Ni 0.8116 0.6017 0.5995
Ni 0.3986 0.7991 0.3000
Ni 0.1753 0.3969 0.4001
Ni 0.4370 0.7991 0.8002
O 0.8942 0.8065 0.4077
O 0.9007 0.7907 0.1914
O 0.4584 0.0202 0.1232
O 0.6916 0.4122 0.0127
O 0.9382 0.7917 0.6919
O 0.7028 0.4132 0.5214
O 0.6577 0.3886 0.2869
O 0.9348 0.8082 0.9086
O 0.6959 0.3871 0.7816
O 0.5487 0.0198 0.6250
O 0.3379 0.6158 0.2240
O 0.4630 0.9838 0.3771
O 0.3622 0.6128 0.7232
O 0.0683 0.1911 0.0888
O 0.0691 0.2104 0.3069
O 0.2581 0.5818 0.4754
O 0.5399 0.9822 0.8754
O 0.2505 0.5815 0.9763
O 0.1228 0.1947 0.5939
O 0.1145 0.2106 0.8114
CELL_PARAMETERS angstrom
-2.8622 0.0000 0.0000
1.4165 11.2456 0.0000
-0.1752 -5.0526 -10.6033
```

Results
Energy = -4.894 eV per atom
Calculated formation energy = -1198 meV/atom

This record from the Materials Project describes a geometry-optimized Li3Mn4F19 structure. The functional is GGA+U. Values from VASP.

The structure in Quantum ESPRESSO input format:
```
&SYSTEM
  ibrav = 0, nat = 52, ntyp = 3
/
ATOMIC_SPECIES
Li 6.94 Li.upf
Mn 54.94 Mn.upf
F 19.00 F.upf
ATOMIC_POSITIONS crystal
Li 0.6046 0.1375 0.0817
Li 0.9565 0.7596 0.5404
Li 0.8663 0.4634 0.7754
Li 0.1337 0.5366 0.2246
Li 0.0435 0.2404 0.4596
Li 0.3954 0.8625 0.9183
Mn 0.0990 0.0142 0.2051
Mn 0.6191 0.4320 0.3788
Mn 0.7829 0.6710 0.0265
Mn 0.5189 0.1324 0.6237
Mn 0.4811 0.8676 0.3763
Mn 0.2171 0.3290 0.9735
Mn 0.3809 0.5680 0.6212
Mn 0.9010 0.9858 0.7949
F 0.3133 0.2010 0.5524
F 0.1147 0.9787 0.6884
F 0.3385 0.0041 0.1000
F 0.3959 0.2208 0.7676
F 0.4476 0.2408 0.0068
F 0.5846 0.2774 0.2459
F 0.6332 0.5137 0.9241
F 0.6437 0.5956 0.5273
F 0.8047 0.8166 0.6949
F 0.5998 0.5009 0.6887
F 0.9949 0.8295 0.1176
F 0.8122 0.3569 0.4535
F 0.8657 0.4995 0.3251
F 0.9283 0.5965 0.1140
F 0.7618 0.2609 0.6635
F 0.6742 0.0353 0.6970
F 0.1097 0.9375 0.8816
F 0.9663 0.6571 0.9065
F 0.6755 0.0434 0.4776
F 0.3245 0.9566 0.5224
F 0.0337 0.3429 0.0935
F 0.8903 0.0625 0.1184
F 0.3258 0.9647 0.3030
F 0.2382 0.7391 0.3365
F 0.0717 0.4035 0.8860
F 0.1343 0.5005 0.6749
F 0.1878 0.6431 0.5465
F 0.0051 0.1705 0.8824
F 0.4002 0.4991 0.3113
F 0.1953 0.1834 0.3051
F 0.3563 0.4044 0.4727
F 0.3668 0.4863 0.0759
F 0.4154 0.7226 0.7541
F 0.5524 0.7592 0.9932
F 0.6041 0.7792 0.2324
F 0.6615 0.9959 0.9000
F 0.8853 0.0213 0.3116
F 0.6867 0.7990 0.4476
CELL_PARAMETERS angstrom
-3.5064 -4.3207 -0.4945
3.3707 -0.5775 -10.5864
7.0742 -5.9015 7.8934
```

Results
Energy = -5.026 eV per atom
Calculated formation energy = -2592 meV/atom

This record from the Materials Project describes a geometry-optimized Li6Mn5O12 structure. The functional is GGA+U. Values from VASP.

The structure in Quantum ESPRESSO input format:
```
&SYSTEM
  ibrav = 0, nat = 23, ntyp = 3
/
ATOMIC_SPECIES
Li 6.94 Li.upf
Mn 54.94 Mn.upf
O 16.00 O.upf
ATOMIC_POSITIONS crystal
Li 0.7444 0.2556 0.5000
Li 0.8183 0.6399 0.2644
Li 0.6887 0.8617 0.7347
Li 0.3601 0.1817 0.7356
Li 0.1383 0.3113 0.2653
Li 0.0813 0.9187 0.5000
Mn 0.9277 0.0723 0.0000
Mn 0.5803 0.4197 0.0000
Mn 0.4797 0.9849 0.2536
Mn 0.0151 0.5203 0.7464
Mn 0.4206 0.5794 0.5000
O 0.8269 0.3116 0.1272
O 0.6884 0.1731 0.8728
O 0.9136 0.7647 0.8804
O 0.7034 0.5527 0.6181
O 0.7407 0.9313 0.3787
O 0.4473 0.2966 0.3819
O 0.5951 0.7268 0.1120
O 0.2353 0.0864 0.1196
O 0.3518 0.8423 0.6333
O 0.2732 0.4049 0.8880
O 0.0687 0.2593 0.6213
O 0.1577 0.6482 0.3667
CELL_PARAMETERS angstrom
4.3198 2.6040 0.0000
-4.3198 2.6040 0.0000
0.0000 1.3360 9.4512
```

Results
Energy = -6.449 eV per atom
Calculated formation energy = -2098 meV/atom

This record from the Materials Project describes a geometry-optimized MgMn6O10F2 structure. The functional is GGA+U. Values from VASP.

The structure in Quantum ESPRESSO input format:
```
&SYSTEM
  ibrav = 0, nat = 19, ntyp = 4
/
ATOMIC_SPECIES
Mg 24.30 Mg.upf
Mn 54.94 Mn.upf
O 16.00 O.upf
F 19.00 F.upf
ATOMIC_POSITIONS crystal
Mg 0.0185 0.4993 0.9939
Mn 0.4950 0.0079 0.5216
Mn 0.5219 0.6754 0.1591
Mn 0.5180 0.3334 0.8483
Mn 0.8976 0.6997 0.6241
Mn 0.0682 0.2850 0.4060
Mn 0.9687 0.0202 0.9857
O 0.8644 0.4252 0.6780
O 0.8461 0.7574 0.9876
O 0.8135 0.0957 0.3105
O 0.6488 0.0960 0.7996
O 0.6201 0.7701 0.4583
O 0.6457 0.4456 0.1405
O 0.3909 0.5710 0.8750
O 0.3696 0.2460 0.5646
O 0.1721 0.2576 0.0443
O 0.1528 0.9218 0.6828
F 0.3536 0.9098 0.2075
F 0.1485 0.5811 0.3195
CELL_PARAMETERS angstrom
5.0993 -0.6698 0.1138
-1.6258 -7.0335 -1.9818
1.3201 2.0849 -5.2141
```

Results
Energy = -6.933 eV per atom
Calculated formation energy = -2087 meV/atom

This record from the Materials Project describes a geometry-optimized Li5Mo2P5O18 structure. The functional is GGA+U. Values from VASP.

The structure in Quantum ESPRESSO input format:
```
&SYSTEM
  ibrav = 0, nat = 60, ntyp = 4
/
ATOMIC_SPECIES
Li 6.94 Li.upf
Mo 95.94 Mo.upf
P 30.97 P.upf
O 16.00 O.upf
ATOMIC_POSITIONS crystal
Li 0.3475 0.3778 0.8600
Li 0.5550 0.2771 0.5910
Li 0.1264 0.2207 0.6620
Li 0.8215 0.1240 0.3600
Li 0.1785 0.8760 0.6400
Li 0.0122 0.9434 0.1339
Li 0.4450 0.7229 0.4090
Li 0.9878 0.0566 0.8661
Li 0.8736 0.7793 0.3380
Li 0.6525 0.6222 0.1400
Mo 0.2297 0.3568 0.4000
Mo 0.6671 0.2316 0.0531
Mo 0.7703 0.6432 0.6000
Mo 0.3329 0.7684 0.9469
P 0.7781 0.9920 0.5972
P 0.2788 0.5822 0.6536
P 0.8307 0.7297 0.9008
P 0.4878 0.0546 0.7938
P 0.2219 0.0080 0.4028
P 0.7212 0.4178 0.3464
P 0.5122 0.9454 0.2062
P 0.8360 0.4192 0.8263
P 0.1640 0.5808 0.1737
P 0.1693 0.2703 0.0992
O 0.0099 0.8312 0.9516
O 0.6771 0.0528 0.1721
O 0.6673 0.4101 0.2056
O 0.7631 0.5775 0.3995
O 0.7525 0.7580 0.7745
O 0.5508 0.3551 0.4200
O 0.9090 0.3262 0.3688
O 0.7812 0.8451 0.5154
O 0.7365 0.1193 0.5261
O 0.4492 0.6449 0.5800
O 0.0910 0.6738 0.6312
O 0.9886 0.6826 0.1818
O 0.2188 0.1549 0.4846
O 0.6617 0.0766 0.8934
O 0.7417 0.4469 0.6989
O 0.6715 0.3835 0.9157
O 0.3455 0.2644 0.0114
O 0.9309 0.5735 0.8920
O 0.4190 0.0314 0.3240
O 0.9672 0.0161 0.6833
O 0.2583 0.5531 0.3011
O 0.5810 0.9686 0.6760
O 0.3327 0.5899 0.7944
O 0.3285 0.6165 0.0843
O 0.2369 0.4225 0.6005
O 0.9901 0.1688 0.0484
O 0.5982 0.8084 0.2502
O 0.2475 0.2420 0.2255
O 0.0114 0.3174 0.8182
O 0.0328 0.9839 0.3167
O 0.6545 0.7356 0.9886
O 0.2635 0.8807 0.4739
O 0.0691 0.4265 0.1080
O 0.3229 0.9472 0.8279
O 0.3383 0.9234 0.1066
O 0.4018 0.1916 0.7498
CELL_PARAMETERS angstrom
-5.8273 -2.1874 2.2728
-2.7449 -1.3532 -8.8211
4.6758 -9.7765 1.2818
```

Results
Energy = -6.895 eV per atom
Calculated formation energy = -2608 meV/atom

This record from the Materials Project describes a geometry-optimized Na3Mn2P2C2O14 structure. The functional is GGA+U. Values from VASP.

The structure in Quantum ESPRESSO input format:
```
&SYSTEM
  ibrav = 0, nat = 46, ntyp = 5
/
ATOMIC_SPECIES
Na 22.99 Na.upf
Mn 54.94 Mn.upf
P 30.97 P.upf
C 12.01 C.upf
O 16.00 O.upf
ATOMIC_POSITIONS crystal
Na 0.2221 0.7565 0.2450
Na 0.7779 0.7565 0.7450
Na 0.7402 0.2393 0.2573
Na 0.2592 0.2386 0.2596
Na 0.7408 0.2386 0.7596
Na 0.2598 0.2393 0.7573
Mn 0.5024 0.6552 0.0666
Mn 0.4976 0.6552 0.5666
Mn 0.9984 0.3517 0.4327
Mn 0.0016 0.3517 0.9327
P 0.9999 0.5757 0.0683
P 0.0001 0.5757 0.5683
P 0.4979 0.4276 0.4290
P 0.5021 0.4276 0.9290
C 0.4984 0.9236 0.9030
C 0.5016 0.9236 0.4030
C 0.0002 0.0786 0.5953
C 0.9998 0.0786 0.0953
O 0.0003 0.9426 0.6735
O 0.9997 0.9426 0.1735
O 0.4877 0.8592 0.0469
O 0.5123 0.8592 0.5469
O 0.5087 0.8252 0.8567
O 0.4913 0.8252 0.3567
O 0.1876 0.6684 0.0623
O 0.8119 0.6720 0.0514
O 0.1881 0.6720 0.5514
O 0.8124 0.6684 0.5623
O 0.0004 0.5368 0.4396
O 0.4906 0.5758 0.2838
O 0.9996 0.5368 0.9396
O 0.5094 0.5758 0.7838
O 0.9970 0.4241 0.2141
O 0.5014 0.4610 0.0621
O 0.0030 0.4241 0.7141
O 0.4986 0.4610 0.5621
O 0.6859 0.3318 0.4402
O 0.3119 0.3282 0.4439
O 0.6881 0.3282 0.9439
O 0.3141 0.3318 0.9402
O 0.9996 0.1765 0.6446
O 0.0004 0.1765 0.1446
O 0.9998 0.1489 0.4493
O 0.0002 0.1489 0.9493
O 0.4997 0.0618 0.8208
O 0.5003 0.0618 0.3208
CELL_PARAMETERS angstrom
-4.5528 4.7127 -0.5967
-5.3213 -5.9556 -6.4344
-7.1754 -6.4386 3.8961
```

Results
Energy = -6.933 eV per atom
Calculated formation energy = -2242 meV/atom

This record from the Materials Project describes a geometry-optimized Co2OF3 structure. The functional is GGA+U. Values from VASP.

The structure in Quantum ESPRESSO input format:
```
&SYSTEM
  ibrav = 0, nat = 30, ntyp = 3
/
ATOMIC_SPECIES
Co 58.93 Co.upf
O 16.00 O.upf
F 19.00 F.upf
ATOMIC_POSITIONS crystal
Co 0.4768 0.5171 0.0036
Co 0.5028 0.3038 0.6029
Co 0.5569 0.6830 0.3996
Co 0.4613 0.9029 0.7827
Co 0.5048 0.0969 0.2005
Co 0.9907 0.7816 0.5937
Co 0.0153 0.5996 0.1980
Co 0.9597 0.3995 0.8175
Co 0.0004 0.2154 0.3998
Co 0.9970 0.9951 0.9979
O 0.7894 0.3343 0.9392
O 0.8177 0.5236 0.3379
O 0.7162 0.6182 0.5432
O 0.2938 0.9658 0.6604
O 0.2019 0.6804 0.0578
F 0.7968 0.7133 0.7412
F 0.8066 0.9169 0.1391
F 0.8126 0.1147 0.5415
F 0.7024 0.0184 0.3429
F 0.6786 0.8317 0.9276
F 0.6967 0.4197 0.1386
F 0.6950 0.2083 0.7434
F 0.3174 0.7781 0.2652
F 0.3012 0.1828 0.0592
F 0.2923 0.5905 0.8572
F 0.3168 0.3883 0.4613
F 0.1923 0.0923 0.8566
F 0.2163 0.8788 0.4594
F 0.2038 0.2782 0.2600
F 0.1864 0.4706 0.6721
CELL_PARAMETERS angstrom
4.7162 0.0000 0.0000
0.0527 5.6847 0.0000
0.1029 2.5990 13.0433
```

Results
Energy = -5.195 eV per atom
Calculated formation energy = -1935 meV/atom